# PBE Th2Zn17, relaxed
data_Th2Zn17
_chemical_formula_sum 'Th4 Zn34'
_space_group_name_H-M_alt 'P 1'
_space_group_IT_number 1
_cell_length_a 9.066
_cell_length_b 9.066
_cell_length_c 8.846
_cell_angle_alpha 90.00
_cell_angle_beta 90.00
_cell_angle_gamma 120.00
loop_
_space_group_symop_operation_xyz
'x,y,z'
loop_
_atom_site_label
_atom_site_fract_x
_atom_site_fract_y
_atom_site_fract_z
Th1 0.000 0.000 0.250
Th2 0.000 0.000 0.750
Th3 0.333 0.667 0.250
Th4 0.667 0.333 0.750
Zn1 0.000 0.500 0.000
Zn2 0.000 0.500 0.500
Zn3 0.040 0.369 0.750
Zn4 0.040 0.671 0.750
Zn5 0.161 0.323 0.021
Zn6 0.161 0.323 0.479
Zn7 0.161 0.839 0.021
Zn8 0.161 0.839 0.479
Zn9 0.323 0.161 0.521
Zn10 0.323 0.161 0.979
Zn11 0.329 0.369 0.750
Zn12 0.329 0.960 0.750
Zn13 0.333 0.667 0.605
Zn14 0.333 0.667 0.895
Zn15 0.369 0.040 0.250
Zn16 0.369 0.329 0.250
Zn17 0.500 0.000 0.000
Zn18 0.500 0.000 0.500
Zn19 0.500 0.500 0.000
Zn20 0.500 0.500 0.500
Zn21 0.631 0.671 0.750
Zn22 0.631 0.960 0.750
Zn23 0.667 0.333 0.105
Zn24 0.667 0.333 0.395
Zn25 0.671 0.040 0.250
Zn26 0.671 0.631 0.250
Zn27 0.677 0.839 0.021
Zn28 0.677 0.839 0.479
Zn29 0.839 0.161 0.521
Zn30 0.839 0.161 0.979
Zn31 0.839 0.677 0.521
Zn32 0.839 0.677 0.979
Zn33 0.960 0.329 0.250
Zn34 0.960 0.631 0.250
# Final energy ... -2.1326 eV/atom
# Calculated formation energy ... -4.3 eV/f.u.

---

# PBE Th3Zn, relaxed
data_Th3Zn
_chemical_formula_sum 'Th3 Zn1'
_space_group_name_H-M_alt 'P 1'
_space_group_IT_number 1
_cell_length_a 6.027
_cell_length_b 6.027
_cell_length_c 6.027
_cell_angle_alpha 133.06
_cell_angle_beta 133.06
_cell_angle_gamma 68.55
loop_
_space_group_symop_operation_xyz
'x,y,z'
loop_
_atom_site_label
_atom_site_fract_x
_atom_site_fract_y
_atom_site_fract_z
Th1 0.000 0.000 0.000
Th2 0.250 0.750 0.500
Th3 0.750 0.250 0.500
Zn1 0.500 0.500 0.000
# Spin magnetization ... 0.00 μB/atom
# Final energy ... -5.8643 eV/atom
# Calculated formation energy ... 0.0 eV/f.u.

---

# PBE ThZn2, relaxed
data_ThZn2
_chemical_formula_sum 'Th1 Zn2'
_space_group_name_H-M_alt 'P 1'
_space_group_IT_number 1
_cell_length_a 4.572
_cell_length_b 4.572
_cell_length_c 3.598
_cell_angle_alpha 90.00
_cell_angle_beta 90.00
_cell_angle_gamma 120.00
loop_
_space_group_symop_operation_xyz
'x,y,z'
loop_
_atom_site_label
_atom_site_fract_x
_atom_site_fract_y
_atom_site_fract_z
Th1 0.000 0.000 0.000
Zn1 0.333 0.667 0.500
Zn2 0.667 0.333 0.500
# Final energy ... -3.5955 eV/atom
# Calculated formation energy ... -0.9 eV/f.u.

---

# PBE Th2Zn17, relaxed
data_Th2Zn17
_chemical_formula_sum 'Th2 Zn17'
_space_group_name_H-M_alt 'P 1'
_space_group_IT_number 1
_cell_length_a 6.858
_cell_length_b 6.858
_cell_length_c 6.858
_cell_angle_alpha 82.99
_cell_angle_beta 82.99
_cell_angle_gamma 82.99
loop_
_space_group_symop_operation_xyz
'x,y,z'
loop_
_atom_site_label
_atom_site_fract_x
_atom_site_fract_y
_atom_site_fract_z
Th1 0.163 0.163 0.163
Th2 0.837 0.837 0.837
Zn1 0.000 0.500 0.500
Zn2 0.149 0.149 0.661
Zn3 0.149 0.661 0.149
Zn4 0.207 0.500 0.793
Zn5 0.207 0.793 0.500
Zn6 0.339 0.851 0.851
Zn7 0.401 0.401 0.401
Zn8 0.500 0.000 0.500
Zn9 0.500 0.207 0.793
Zn10 0.500 0.500 0.000
Zn11 0.500 0.793 0.207
Zn12 0.599 0.599 0.599
Zn13 0.661 0.149 0.149
Zn14 0.793 0.207 0.500
Zn15 0.793 0.500 0.207
Zn16 0.851 0.339 0.851
Zn17 0.851 0.851 0.339
# Final energy ... -2.1346 eV/atom
# Calculated formation energy ... -4.3 eV/f.u.

---

Look up the calculated formation energy of the third one.
-0.9 eV/f.u.

---

calculated formation energy of number 2 (Th3Zn)?
0.0 eV/f.u.